1.
A plane-wave DFT calculation with r²SCAN was carried out for an optimized crystal structure of Sc2V3Ge4.

E	-14.07	eV per atom

a b c (Å): 6.621 12.793 6.790
angles (deg): 90.00 90.00 90.00
Space group Pnma (No. 62)
Unique sites:
Sc 0.008 0.094 0.175 (multiplicity 8)
V 0.159 0.627 0.333 (multiplicity 8)
V 0.165 0.250 0.515 (multiplicity 4)
Ge 0.037 0.250 0.878 (multiplicity 4)
Ge 0.177 0.043 0.542 (multiplicity 8)
Ge 0.191 0.750 0.644 (multiplicity 4)

2.
A plane-wave DFT calculation with r²SCAN was carried out for an optimized crystal structure of Sc2CuTc.

E	-15.13	eV per atom

a b c (Å): 6.454 6.454 6.454
angles (deg): 90.00 90.00 90.00
Space group Fm-3m (No. 225)
Unique sites:
Sc 0.250 0.250 0.250 (multiplicity 8)
Cu 0.000 0.000 0.000 (multiplicity 4)
Tc 0.000 0.000 0.500 (multiplicity 4)

3.
A plane-wave DFT calculation with r²SCAN was carried out for an optimized crystal structure of SiO2.

E	-9.93	eV per atom

a b c (Å): 7.538 12.967 13.525
angles (deg): 90.00 90.00 90.00
Space group Pnma (No. 62)
Unique sites:
Si 0.047 0.130 0.164 (multiplicity 8)
Si 0.158 0.058 0.372 (multiplicity 8)
Si 0.163 0.632 0.502 (multiplicity 8)
O 0.030 0.119 0.448 (multiplicity 8)
O 0.077 0.061 0.262 (multiplicity 8)
O 0.079 0.250 0.192 (multiplicity 4)
O 0.152 0.615 0.876 (multiplicity 8)
O 0.177 0.561 0.405 (multiplicity 8)
O 0.186 0.096 0.080 (multiplicity 8)
O 0.193 0.750 0.471 (multiplicity 4)

4.
A plane-wave DFT calculation with r²SCAN was carried out for an optimized crystal structure of LiCuF3.

energy above the lowest structure with this stoichiometry	0.000	eV per atom
E	-6.87	eV per atom

a b c (Å): 5.022 5.202 7.843
angles (deg): 89.89 86.12 89.73
Space group P-1 (No. 2)
Unique sites:
Li 0.000 0.046 0.284 (multiplicity 2)
Li 0.496 0.547 0.217 (multiplicity 2)
Cu 0.000 0.500 0.000 (multiplicity 1)
Cu 0.000 0.500 0.500 (multiplicity 1)
Cu 0.500 0.000 0.000 (multiplicity 1)
Cu 0.500 0.000 0.500 (multiplicity 1)
F 0.159 0.627 0.792 (multiplicity 2)
F 0.168 0.823 0.463 (multiplicity 2)
F 0.206 0.838 0.118 (multiplicity 2)
F 0.295 0.338 0.382 (multiplicity 2)
F 0.332 0.324 0.038 (multiplicity 2)
F 0.341 0.126 0.709 (multiplicity 2)

Listing ΔE_f for the structures above in their given order: -0.673 -0.226 -3.021 -2.347 eV/atom.